Below is a relaxed Sc2Pt crystal, with properties calculated at the meta-GGA r2SCAN level.

Lattice parameters (Å, degrees): 6.609 4.493 8.247 90.00 90.00 90.00
Positions (direct):
Sc 0.013 0.250 0.173
Sc 0.148 0.250 0.576
Sc 0.352 0.750 0.076
Sc 0.487 0.750 0.673
Sc 0.513 0.250 0.327
Sc 0.648 0.250 0.924
Sc 0.852 0.750 0.424
Sc 0.987 0.750 0.827
Pt 0.241 0.250 0.902
Pt 0.259 0.750 0.402
Pt 0.741 0.250 0.598
Pt 0.759 0.750 0.098

Results
Size of the total moment   0.000 μB per atom
Energy of formation from the pure elements   -1048 meV/atom



Below is a relaxed Pt5Se4 crystal, with properties calculated at the meta-GGA r2SCAN level.

Lattice parameters (Å, degrees): 6.613 4.660 11.210 90.00 101.53 90.00
Positions (direct):
Pt 0.000 0.000 0.000
Pt 0.000 0.500 0.500
Pt 0.223 0.162 0.673
Pt 0.223 0.338 0.173
Pt 0.332 0.668 0.002
Pt 0.332 0.832 0.502
Pt 0.668 0.168 0.498
Pt 0.668 0.332 0.998
Pt 0.777 0.662 0.827
Pt 0.777 0.838 0.327
Se 0.089 0.135 0.362
Se 0.089 0.365 0.862
Se 0.486 0.540 0.356
Se 0.486 0.960 0.856
Se 0.514 0.040 0.144
Se 0.514 0.460 0.644
Se 0.911 0.635 0.138
Se 0.911 0.865 0.638

Results
Size of the total moment   0.000 μB per atom
Energy of formation from the pure elements   -383 meV/atom



Below is a relaxed PtSe2 crystal, with properties calculated at the meta-GGA r2SCAN level.

Lattice parameters (Å, degrees): 3.717 3.717 5.820 90.00 90.00 120.00
Positions (direct):
Pt 0.000 0.000 0.000
Se 0.333 0.667 0.225
Se 0.667 0.333 0.775

Results
Size of the total moment   0.000 μB per atom
Energy of formation from the pure elements   -464 meV/atom



Below is a relaxed SiPt crystal, with properties calculated at the meta-GGA r2SCAN level.

Lattice parameters (Å, degrees): 5.633 3.607 5.942 90.00 90.00 90.00
Positions (direct):
Si 0.178 0.250 0.082
Si 0.322 0.750 0.582
Si 0.678 0.250 0.418
Si 0.822 0.750 0.918
Pt 0.007 0.750 0.306
Pt 0.493 0.250 0.806
Pt 0.507 0.750 0.194
Pt 0.993 0.250 0.694

Results
Size of the total moment   0.000 μB per atom
Energy of formation from the pure elements   -697 meV/atom



Below is a relaxed SiPt3 crystal, with properties calculated at the meta-GGA r2SCAN level.

Lattice parameters (Å, degrees): 5.503 5.503 5.391 118.52 118.52 91.16
Positions (direct):
Si 0.212 0.212 0.421
Si 0.788 0.788 0.579
Pt 0.215 0.215 0.858
Pt 0.226 0.774 0.000
Pt 0.317 0.683 0.500
Pt 0.683 0.317 0.500
Pt 0.774 0.226 0.000
Pt 0.785 0.785 0.142

Results
Size of the total moment   0.000 μB per atom
Energy of formation from the pure elements   -539 meV/atom



Below is a relaxed SiPt2 crystal, with properties calculated at the meta-GGA r2SCAN level.

Lattice parameters (Å, degrees): 4.087 4.087 4.087 122.33 122.33 86.02
Positions (direct):
Si 0.000 0.000 0.000
Pt 0.250 0.750 0.500
Pt 0.750 0.250 0.500

Results
Size of the total moment   0.000 μB per atom
Energy of formation from the pure elements   -779 meV/atom



Below is a relaxed SiPt3 crystal, with properties calculated at the meta-GGA r2SCAN level.

Lattice parameters (Å, degrees): 5.649 7.575 5.561 90.00 90.00 90.00
Positions (direct):
Si 0.085 0.250 0.000
Si 0.415 0.750 0.500
Si 0.585 0.250 0.500
Si 0.915 0.750 0.000
Pt 0.005 0.750 0.423
Pt 0.181 0.547 0.813
Pt 0.181 0.953 0.813
Pt 0.319 0.047 0.313
Pt 0.319 0.453 0.313
Pt 0.495 0.250 0.923
Pt 0.505 0.750 0.077
Pt 0.681 0.547 0.687
Pt 0.681 0.953 0.687
Pt 0.819 0.047 0.187
Pt 0.819 0.453 0.187
Pt 0.995 0.250 0.577

Results
Size of the total moment   0.000 μB per atom
Energy of formation from the pure elements   -539 meV/atom



Below is a relaxed Sm2Si3Pt3 crystal, with properties calculated at the meta-GGA r2SCAN level.

Lattice parameters (Å, degrees): 2.836 2.836 20.452 90.00 90.00 90.00
Positions (direct):
Sm 0.000 0.000 0.247
Sm 0.000 0.000 0.753
Si 0.000 0.000 0.000
Si 0.000 0.000 0.387
Si 0.000 0.000 0.613
Pt 0.000 0.000 0.111
Pt 0.000 0.000 0.500
Pt 0.000 0.000 0.889

Results
Size of the total moment   0.000 μB per atom
Energy of formation from the pure elements   401 meV/atom